# BaSrCoWO6 PBE with a Hubbard U optimized geometry
# Calculated volume (Å³/atom): 13.518
# Energy of formation (eV per formula unit): -25.78
# Spin magnetization (μB per formula unit): 3.00
data_BaSrCoWO6
_chemical_formula_sum 'Ba2 Sr2 Co2 W2 O12'
_symmetry_space_group_name_H-M 'I m m 2'
_symmetry_Int_Tables_number 44
_symmetry_space_group_name_Hall 'I 2 -2'
_cell_length_a 5.7581
_cell_length_b 5.7758
_cell_length_c 8.1294
_cell_angle_alpha 90.00
_cell_angle_beta 90.00
_cell_angle_gamma 90.00
loop_
_atom_site_label
_atom_site_type_symbol
_atom_site_fract_x
_atom_site_fract_y
_atom_site_fract_z
Ba1 Ba 0.0000 0.0000 0.0000
Sr1 Sr 0.0000 0.0000 0.4988
Co1 Co 0.0000 0.5000 0.7493
W1 W 0.0000 0.5000 0.2493
O1 O 0.0000 0.5000 0.0086
O2 O 0.0000 0.5000 0.4900
O3 O 0.2398 0.2604 0.2493